[1]
# PtXeF11

An optimized crystal structure of PtXeF11 (GGA-PBE, the Materials Project).

Geometry as POSCAR:
```
PtXeF11
1.0
5.801 0.000 0.000
0.000 8.371 0.000
0.000 0.000 17.114
Pt F Xe
4 44 4
Direct
0.282 0.250 0.040
0.782 0.750 0.460
0.218 0.250 0.540
0.718 0.750 0.960
0.085 0.585 0.689
0.023 0.750 0.010
0.585 0.085 0.811
0.453 0.417 0.351
0.453 0.083 0.351
0.572 0.250 0.092
0.931 0.750 0.563
0.634 0.750 0.360
0.219 0.021 0.538
0.069 0.250 0.437
0.431 0.250 0.937
0.366 0.250 0.640
0.281 0.021 0.038
0.219 0.479 0.538
0.134 0.250 0.140
0.585 0.415 0.811
0.523 0.250 0.490
0.611 0.250 0.237
0.928 0.250 0.592
0.977 0.250 0.990
0.866 0.750 0.860
0.415 0.585 0.189
0.547 0.917 0.649
0.072 0.750 0.408
0.953 0.583 0.149
0.085 0.915 0.689
0.415 0.915 0.189
0.915 0.085 0.311
0.719 0.979 0.962
0.281 0.479 0.038
0.953 0.917 0.149
0.547 0.583 0.649
0.428 0.750 0.908
0.111 0.750 0.263
0.781 0.521 0.462
0.915 0.415 0.311
0.781 0.979 0.462
0.389 0.750 0.763
0.569 0.750 0.063
0.047 0.083 0.851
0.047 0.417 0.851
0.477 0.750 0.510
0.889 0.250 0.737
0.719 0.521 0.962
0.305 0.750 0.651
0.805 0.250 0.849
0.695 0.250 0.349
0.195 0.750 0.151
```

Results
**Energy of formation from the pure elements**: -14.73 eV/f.u.
**Corrected total energy (MP2020 scheme)**: -3.2230 eV/atom
**Total magnetization**: 4.3 μB per cell


[2]
# Sm3Ho

An optimized crystal structure of Sm3Ho (GGA-PBE, the Materials Project).

Geometry as POSCAR:
```
Sm3Ho
1.0
-5.572 -2.972 -3.644
1.424 -2.105 6.834
-3.518 4.135 2.007
Ho Sm
2 6
Direct
0.667 0.333 0.250
0.333 0.667 0.750
0.334 0.167 0.750
0.666 0.833 0.250
0.833 0.666 0.750
0.833 0.167 0.750
0.167 0.833 0.250
0.167 0.334 0.250
```

Results
**Energy of formation from the pure elements**: 0.09 eV/f.u.
**Energy relative to the lowest polymorph listed for this composition**: 10.4 meV/atom


[3]
# Li7Ti7Nb5O30

An optimized crystal structure of Li7Ti7Nb5O30 (GGA-PBE, the Materials Project).

Geometry as POSCAR:
```
Li7Ti7Nb5O30
1.0
2.583 -4.474 0.000
2.583 4.474 0.000
0.000 0.000 23.826
O Li Nb Ti
30 7 5 7
Direct
0.343 0.305 0.351
0.288 0.961 0.253
0.312 0.032 0.044
0.039 0.327 0.253
0.673 0.712 0.253
0.730 0.684 0.654
0.080 0.745 0.148
0.963 0.657 0.351
0.695 0.037 0.351
0.700 0.056 0.949
0.720 0.688 0.044
0.393 0.000 0.453
0.389 0.993 0.847
0.662 0.999 0.745
0.968 0.280 0.044
0.255 0.334 0.148
0.007 0.396 0.847
0.316 0.047 0.654
0.606 0.607 0.453
0.356 0.300 0.949
0.662 0.961 0.554
0.001 0.662 0.745
0.000 0.394 0.453
0.944 0.644 0.949
0.338 0.338 0.745
0.604 0.611 0.847
0.039 0.701 0.554
0.953 0.270 0.654
0.299 0.338 0.554
0.666 0.920 0.148
0.667 0.333 0.529
0.333 0.667 0.923
0.667 0.333 0.275
0.000 0.000 0.203
0.333 0.667 0.081
0.333 0.667 0.373
0.333 0.667 0.628
0.333 0.667 0.502
0.333 0.667 0.203
0.000 0.000 0.309
0.667 0.333 0.404
0.333 0.667 0.799
0.000 0.000 0.981
0.000 0.000 0.590
0.667 0.333 0.691
0.000 0.000 0.714
0.000 0.000 0.105
0.667 0.333 0.011
0.667 0.333 0.886
```

Results
**Energy of formation from the pure elements**: -150.97 eV/f.u.
**Corrected total energy (MP2020 scheme)**: -8.5417 eV/atom
**Total magnetization**: 0.0 μB per cell


[4]
# Cu3P4Pb3O16

An optimized crystal structure of Cu3P4Pb3O16 (GGA-PBE, the Materials Project).

Geometry as POSCAR:
```
Cu3P4Pb3O16
1.0
2.496 8.952 0.000
-2.496 8.952 0.000
0.000 7.949 16.294
O Cu P Pb
32 6 8 6
Direct
0.722 0.559 0.758
0.197 0.934 0.792
0.066 0.803 0.708
0.391 0.044 0.678
0.391 0.964 0.833
0.686 0.049 0.885
0.609 0.956 0.322
0.699 0.612 0.005
0.951 0.314 0.615
0.388 0.301 0.495
0.278 0.441 0.242
0.609 0.036 0.167
0.612 0.699 0.505
0.115 0.778 0.473
0.778 0.115 0.973
0.956 0.609 0.822
0.142 0.272 0.463
0.272 0.142 0.963
0.803 0.066 0.208
0.044 0.391 0.178
0.441 0.278 0.742
0.559 0.722 0.258
0.222 0.885 0.027
0.049 0.686 0.385
0.728 0.858 0.037
0.301 0.388 0.995
0.858 0.728 0.537
0.036 0.609 0.667
0.964 0.391 0.333
0.934 0.197 0.292
0.885 0.222 0.527
0.314 0.951 0.115
0.500 0.000 0.500
0.996 0.554 0.353
0.446 0.004 0.147
0.554 0.996 0.853
0.004 0.446 0.647
0.000 0.500 0.000
0.109 0.621 0.470
0.877 0.424 0.262
0.424 0.877 0.762
0.123 0.576 0.738
0.891 0.379 0.530
0.621 0.109 0.970
0.379 0.891 0.030
0.576 0.123 0.238
0.212 0.788 0.250
0.089 0.697 0.095
0.911 0.303 0.905
0.303 0.911 0.405
0.788 0.212 0.750
0.697 0.089 0.595
```

Results
**Energy of formation from the pure elements**: -54.98 eV/f.u.
**Corrected total energy (MP2020 scheme)**: -6.8937 eV/atom
**Total magnetization**: 2.0 μB per cell


[5]
# Fe6W6C

An optimized crystal structure of Fe6W6C (GGA-PBE, the Materials Project).

Geometry as POSCAR:
```
Fe6W6C
1.0
-1.881 -3.805 6.456
-6.125 2.226 4.151
-6.350 -4.399 0.181
W C Fe
12 2 12
Direct
0.552 0.948 0.552
0.698 0.302 0.698
0.302 0.302 0.698
0.552 0.552 0.948
0.302 0.698 0.698
0.698 0.698 0.302
0.948 0.948 0.552
0.302 0.698 0.302
0.948 0.552 0.552
0.552 0.948 0.948
0.698 0.302 0.302
0.948 0.552 0.948
0.500 0.500 0.500
0.750 0.750 0.750
0.329 0.329 0.013
0.125 0.625 0.125
0.921 0.237 0.921
0.329 0.329 0.329
0.625 0.125 0.125
0.013 0.329 0.329
0.125 0.125 0.125
0.921 0.921 0.237
0.125 0.125 0.625
0.921 0.921 0.921
0.329 0.013 0.329
0.237 0.921 0.921
```

Results
**Energy of formation from the pure elements**: -0.71 eV/f.u.


[6]
# Ho2Zr8O19

An optimized crystal structure of Ho2Zr8O19 (GGA-PBE, the Materials Project).

Geometry as POSCAR:
```
Ho2Zr8O19
1.0
3.638 0.000 0.000
0.000 3.638 0.000
0.000 0.000 25.692
O Zr Ho
19 8 2
Direct
0.000 0.000 0.793
0.000 0.000 0.109
0.500 0.500 0.197
0.000 0.000 0.403
0.500 0.500 0.500
0.500 0.500 0.398
0.500 0.500 0.903
0.000 0.000 0.695
0.000 0.000 0.597
0.000 0.000 0.000
0.500 0.500 0.097
0.500 0.500 0.803
0.500 0.500 0.703
0.000 0.000 0.891
0.000 0.000 0.500
0.500 0.500 0.602
0.000 0.000 0.305
0.500 0.500 0.297
0.000 0.000 0.207
0.000 0.500 0.252
0.000 0.500 0.649
0.000 0.500 0.848
0.500 0.000 0.550
0.500 0.000 0.152
0.000 0.500 0.450
0.500 0.000 0.351
0.500 0.000 0.748
0.000 0.500 0.056
0.500 0.000 0.944
```

Results
**Energy of formation from the pure elements**: -108.87 eV/f.u.
**Corrected total energy (MP2020 scheme)**: -9.6698 eV/atom
**Total magnetization**: 0.0 μB per cell